(1)
Er5Si10Ir4: optimized geometry, PBE-GGA.

abc: 12.6171 12.6171 4.2460
angles: 90.00 90.00 90.00
Closest atoms and distances in Å follow each position.
Fractional positions:
Er 0.0000 0.0000 0.0000  8 Si 2.90, 4 Ir 3.11
Er 0.1159 0.3841 0.5000  10 Si 3.19-3.25, 4 Ir 3.24
Er 0.1751 0.6751 0.5000  8 Si 2.89-3.03, 4 Ir 3.05
Er 0.3249 0.1751 0.5000  8 Si 2.89-3.03, 4 Ir 3.05
Er 0.3841 0.8841 0.5000  10 Si 3.19-3.25, 4 Ir 3.24
Er 0.5000 0.5000 0.0000  8 Si 2.90, 4 Ir 3.11
Er 0.6159 0.1159 0.5000  10 Si 3.19-3.25, 4 Ir 3.24
Er 0.6751 0.8249 0.5000  8 Si 2.89-3.03, 4 Ir 3.05
Er 0.8249 0.3249 0.5000  8 Si 2.89-3.03, 4 Ir 3.05
Er 0.8841 0.6159 0.5000  10 Si 3.19-3.25, 4 Ir 3.24
Si 0.0038 0.8439 0.5000  2 Ir 2.42
Si 0.0655 0.5655 0.0000  1 Si 2.34, 2 Ir 2.45
Si 0.1561 0.0038 0.5000  2 Ir 2.42
Si 0.1640 0.2005 0.0000  2 Ir 2.40-2.50, 1 Si 2.42
Si 0.2005 0.8360 0.0000  2 Ir 2.40-2.50, 1 Si 2.42
Si 0.2995 0.3360 0.0000  2 Ir 2.40-2.50, 1 Si 2.42
Si 0.3360 0.7005 0.0000  2 Ir 2.40-2.50, 1 Si 2.42
Si 0.3439 0.5038 0.5000  2 Ir 2.42
Si 0.4345 0.0655 0.0000  1 Si 2.34, 2 Ir 2.45
Si 0.4962 0.3439 0.5000  2 Ir 2.42
Si 0.5038 0.6561 0.5000  2 Ir 2.42
Si 0.5655 0.9345 0.0000  1 Si 2.34, 2 Ir 2.45
Si 0.6561 0.4962 0.5000  2 Ir 2.42
Si 0.6640 0.2995 0.0000  2 Ir 2.40-2.50, 1 Si 2.42
Si 0.7005 0.6640 0.0000  2 Ir 2.40-2.50, 1 Si 2.42
Si 0.7995 0.1640 0.0000  2 Ir 2.40-2.50, 1 Si 2.42
Si 0.8360 0.7995 0.0000  2 Ir 2.40-2.50, 1 Si 2.42
Si 0.8439 0.9962 0.5000  2 Ir 2.42
Si 0.9345 0.4345 0.0000  1 Si 2.34, 2 Ir 2.45
Si 0.9962 0.1561 0.5000  2 Ir 2.42
Ir 0.0205 0.7541 0.0000  5 Si 2.40-2.50
Ir 0.2459 0.0205 0.0000  5 Si 2.40-2.50
Ir 0.2541 0.5205 0.0000  5 Si 2.40-2.50
Ir 0.4795 0.2541 0.0000  5 Si 2.40-2.50
Ir 0.5205 0.7459 0.0000  5 Si 2.40-2.50
Ir 0.7459 0.4795 0.0000  5 Si 2.40-2.50
Ir 0.7541 0.9795 0.0000  5 Si 2.40-2.50
Ir 0.9795 0.2459 0.0000  5 Si 2.40-2.50


(2)
Er4Si9Ir13: optimized geometry, PBE-GGA.

abc: 3.9514 11.0068 19.0047
angles: 90.00 90.00 90.00
Closest atoms and distances in Å follow each position.
Fractional positions:
Er 0.2500 0.0591 0.2079  6 Si 3.06-3.13, 9 Ir 3.08-3.42
Er 0.2500 0.2500 0.0219  8 Ir 3.02-3.33, 6 Si 3.07-3.08
Er 0.2500 0.4409 0.2079  6 Si 3.06-3.13, 9 Ir 3.08-3.42
Er 0.2500 0.7500 0.5194  6 Si 3.04-3.08, 6 Ir 3.07-3.28
Er 0.7500 0.2500 0.4806  6 Si 3.04-3.08, 6 Ir 3.07-3.28
Er 0.7500 0.5591 0.7921  6 Si 3.06-3.13, 9 Ir 3.08-3.42
Er 0.7500 0.7500 0.9781  8 Ir 3.02-3.33, 6 Si 3.07-3.08
Er 0.7500 0.9409 0.7921  6 Si 3.06-3.13, 9 Ir 3.08-3.42
Si 0.2500 0.0686 0.4146  7 Ir 2.36-2.59
Si 0.2500 0.1234 0.7294  6 Ir 2.42-2.55
Si 0.2500 0.2500 0.6023  6 Ir 2.40-2.55
Si 0.2500 0.3766 0.7294  6 Ir 2.42-2.55
Si 0.2500 0.4314 0.4146  7 Ir 2.36-2.59
Si 0.2500 0.5622 0.9195  5 Ir 2.38-2.42
Si 0.2500 0.7500 0.1021  7 Ir 2.38-2.53
Si 0.2500 0.7500 0.7324  5 Ir 2.39-2.44
Si 0.2500 0.9378 0.9195  5 Ir 2.38-2.42
Si 0.7500 0.0622 0.0805  5 Ir 2.38-2.42
Si 0.7500 0.2500 0.2676  5 Ir 2.39-2.44
Si 0.7500 0.2500 0.8979  7 Ir 2.38-2.53
Si 0.7500 0.4378 0.0805  5 Ir 2.38-2.42
Si 0.7500 0.5686 0.5854  7 Ir 2.36-2.59
Si 0.7500 0.6234 0.2706  6 Ir 2.42-2.55
Si 0.7500 0.7500 0.3977  6 Ir 2.40-2.55
Si 0.7500 0.8766 0.2706  6 Ir 2.42-2.55
Si 0.7500 0.9314 0.5854  7 Ir 2.36-2.59
Ir 0.2500 0.0612 0.5389  4 Si 2.36-2.59
Ir 0.2500 0.1251 0.8566  4 Si 2.38-2.53
Ir 0.2500 0.2500 0.3429  4 Si 2.42-2.44
Ir 0.2500 0.3749 0.8566  4 Si 2.38-2.53
Ir 0.2500 0.4388 0.5389  4 Si 2.36-2.59
Ir 0.2500 0.5496 0.0467  4 Si 2.41-2.44
Ir 0.2500 0.5662 0.6649  4 Si 2.40-2.49
Ir 0.2500 0.6222 0.3555  5 Si 2.38-2.55
Ir 0.2500 0.7500 0.2274  5 Si 2.38-2.55
Ir 0.2500 0.7500 0.8579  3 Si 2.38-2.39
Ir 0.2500 0.8778 0.3555  5 Si 2.38-2.55
Ir 0.2500 0.9338 0.6649  4 Si 2.40-2.49
Ir 0.2500 0.9504 0.0467  4 Si 2.41-2.44
Ir 0.7500 0.0496 0.9533  4 Si 2.41-2.44
Ir 0.7500 0.0662 0.3351  4 Si 2.40-2.49
Ir 0.7500 0.1222 0.6445  5 Si 2.38-2.55
Ir 0.7500 0.2500 0.1421  3 Si 2.38-2.39
Ir 0.7500 0.2500 0.7726  5 Si 2.38-2.55
Ir 0.7500 0.3778 0.6445  5 Si 2.38-2.55
Ir 0.7500 0.4338 0.3351  4 Si 2.40-2.49
Ir 0.7500 0.4504 0.9533  4 Si 2.41-2.44
Ir 0.7500 0.5612 0.4611  4 Si 2.36-2.59
Ir 0.7500 0.6251 0.1434  4 Si 2.38-2.53
Ir 0.7500 0.7500 0.6571  4 Si 2.42-2.44
Ir 0.7500 0.8749 0.1434  4 Si 2.38-2.53
Ir 0.7500 0.9388 0.4611  4 Si 2.36-2.59


Number 1: ΔH_f (0 K) -0.895 eV per atom. Number 2: ΔH_f (0 K) -0.993 eV per atom.